This record from Materials Project describes a relaxed Na4Si3Sn2O12 crystal. The functional is r²SCAN.

Cell lengths 8.953, 8.953, 8.953 Å; angles 60.86, 60.86, 60.86 degrees
Fractional positions:
Na 0.000 0.000 0.000
Na 0.750 0.381 0.119
Na 0.381 0.119 0.750
Na 0.119 0.750 0.381
Na 0.881 0.250 0.619
Na 0.500 0.500 0.500
Na 0.619 0.881 0.250
Na 0.250 0.619 0.881
Si 0.455 0.750 0.045
Si 0.250 0.955 0.545
Si 0.545 0.250 0.955
Si 0.045 0.455 0.750
Si 0.955 0.545 0.250
Si 0.750 0.045 0.455
Sn 0.645 0.645 0.645
Sn 0.145 0.145 0.145
Sn 0.855 0.855 0.855
Sn 0.355 0.355 0.355
O 0.289 0.127 0.517
O 0.733 0.080 0.936
O 0.920 0.064 0.267
O 0.983 0.373 0.211
O 0.627 0.789 0.017
O 0.789 0.017 0.627
O 0.373 0.211 0.983
O 0.211 0.983 0.373
O 0.420 0.767 0.564
O 0.564 0.420 0.767
O 0.080 0.936 0.733
O 0.711 0.873 0.483
O 0.233 0.436 0.580
O 0.936 0.733 0.080
O 0.580 0.233 0.436
O 0.517 0.289 0.127
O 0.127 0.517 0.289
O 0.267 0.920 0.064
O 0.436 0.580 0.233
O 0.767 0.564 0.420
O 0.064 0.267 0.920
O 0.873 0.483 0.711
O 0.483 0.711 0.873
O 0.017 0.627 0.789

Calculated values
The space-group type is R-3c. The value obtained for the calculated total energy is -426.7 eV/cell.

This record from Materials Project describes a relaxed NaTbSi2O6 crystal. The functional is r²SCAN.

Cell lengths 5.480, 9.347, 9.683 Å; angles 117.31, 97.04, 100.09 degrees
Fractional positions:
Na 0.000 0.000 0.000
Na 0.165 0.604 0.937
Na 0.835 0.396 0.063
Tb 0.000 0.500 0.500
Tb 0.320 0.777 0.365
Tb 0.680 0.223 0.635
Si 0.772 0.759 0.124
Si 0.228 0.241 0.876
Si 0.894 0.882 0.634
Si 0.106 0.118 0.366
Si 0.604 0.639 0.749
Si 0.396 0.361 0.251
O 0.500 0.715 0.158
O 0.500 0.285 0.842
O 0.981 0.676 0.165
O 0.019 0.324 0.835
O 0.894 0.963 0.212
O 0.106 0.037 0.788
O 0.033 0.756 0.515
O 0.967 0.244 0.485
O 0.701 0.950 0.553
O 0.299 0.050 0.447
O 0.739 0.789 0.717
O 0.261 0.211 0.283
O 0.305 0.614 0.728
O 0.695 0.386 0.272
O 0.694 0.474 0.639
O 0.306 0.526 0.361
O 0.755 0.711 0.935
O 0.245 0.289 0.065

Calculated values
The space-group type is P-1. The value obtained for the calculated total energy is -359.9 eV/cell.

This record from Materials Project describes a relaxed NaSmO2 crystal. The functional is r²SCAN.

Cell lengths 4.686, 4.686, 6.289 Å; angles 68.10, 68.10, 89.99 degrees
Fractional positions:
Na 0.500 0.500 0.000
Na 0.250 0.750 0.500
Sm 0.000 0.000 0.000
Sm 0.750 0.250 0.500
O 0.221 0.221 0.558
O 0.529 0.029 0.942
O 0.971 0.471 0.058
O 0.779 0.779 0.442

Calculated values
The space-group type is I4_1/amd. The value obtained for the calculated total energy is -114.3 eV/cell.

Asked for energy of formation across the records above, the calculation gives -2.458 -3.179 -2.974 eV/atom in order.